# 1
VASP calculation (meta-GGA r2SCAN) on an optimized crystal structure of SmSnF7.

abc: 9.047 5.628 12.176
angles: 90.00 117.96 90.00
Element x y z (fractional)
Sm: 0.187 0.241 0.265
Sm: 0.187 0.259 0.765
Sm: 0.813 0.741 0.235
Sm: 0.813 0.759 0.735
Sn: 0.273 0.745 0.043
Sn: 0.273 0.755 0.543
Sn: 0.727 0.245 0.457
Sn: 0.727 0.255 0.957
F: 0.026 0.739 0.946
F: 0.026 0.761 0.446
F: 0.036 0.596 0.732
F: 0.036 0.904 0.232
F: 0.257 0.549 0.172
F: 0.257 0.951 0.672
F: 0.271 0.028 0.138
F: 0.271 0.472 0.638
F: 0.283 0.049 0.457
F: 0.283 0.451 0.957
F: 0.289 0.551 0.417
F: 0.289 0.949 0.917
F: 0.482 0.233 0.360
F: 0.482 0.267 0.860
F: 0.518 0.733 0.140
F: 0.518 0.767 0.640
F: 0.711 0.051 0.083
F: 0.711 0.449 0.583
F: 0.717 0.549 0.043
F: 0.717 0.951 0.543
F: 0.729 0.528 0.362
F: 0.729 0.972 0.862
F: 0.743 0.049 0.328
F: 0.743 0.451 0.828
F: 0.964 0.096 0.768
F: 0.964 0.404 0.268
F: 0.974 0.239 0.554
F: 0.974 0.261 0.054

- mass density (g/cm³) = 4.9
- energy relative to the elements (eV per atom) = -3.4771

---

# 2
VASP calculation (meta-GGA r2SCAN) on an optimized crystal structure of BNF8.

abc: 5.052 9.815 9.550
angles: 90.00 90.00 90.00
Element x y z (fractional)
B: 0.100 0.011 0.250
B: 0.100 0.489 0.750
B: 0.900 0.511 0.250
B: 0.900 0.989 0.750
N: 0.474 0.250 0.000
N: 0.474 0.250 0.500
N: 0.526 0.750 0.000
N: 0.526 0.750 0.500
F: 0.178 0.507 0.250
F: 0.178 0.993 0.750
F: 0.181 0.149 0.250
F: 0.181 0.351 0.750
F: 0.197 0.554 0.630
F: 0.197 0.554 0.870
F: 0.197 0.946 0.130
F: 0.197 0.946 0.370
F: 0.322 0.158 0.563
F: 0.322 0.158 0.937
F: 0.322 0.342 0.063
F: 0.322 0.342 0.437
F: 0.374 0.688 0.094
F: 0.374 0.688 0.406
F: 0.374 0.812 0.594
F: 0.374 0.812 0.906
F: 0.626 0.188 0.094
F: 0.626 0.188 0.406
F: 0.626 0.312 0.594
F: 0.626 0.312 0.906
F: 0.678 0.658 0.563
F: 0.678 0.658 0.937
F: 0.678 0.842 0.063
F: 0.678 0.842 0.437
F: 0.803 0.054 0.630
F: 0.803 0.054 0.870
F: 0.803 0.446 0.130
F: 0.803 0.446 0.370
F: 0.819 0.649 0.250
F: 0.819 0.851 0.750
F: 0.822 0.007 0.250
F: 0.822 0.493 0.750

- mass density (g/cm³) = 2.5
- energy relative to the elements (eV per atom) = -1.4830

---

# 3
VASP calculation (meta-GGA r2SCAN) on an optimized crystal structure of TmSbPd2.

abc: 4.747 4.747 4.747
angles: 60.00 60.00 60.00
Element x y z (fractional)
Tm: 0.000 0.000 0.000
Sb: 0.500 0.500 0.500
Pd: 0.250 0.250 0.250
Pd: 0.750 0.750 0.750

- mass density (g/cm³) = 11.1
- energy relative to the elements (eV per atom) = -0.9046

---

# 4
VASP calculation (meta-GGA r2SCAN) on an optimized crystal structure of YSeF.

abc: 11.475 4.088 5.600
angles: 90.00 90.00 90.00
Element x y z (fractional)
Y: 0.146 0.250 0.014
Y: 0.354 0.750 0.514
Y: 0.646 0.250 0.486
Y: 0.854 0.750 0.986
Se: 0.169 0.250 0.513
Se: 0.331 0.750 0.013
Se: 0.669 0.250 0.987
Se: 0.831 0.750 0.487
F: 0.057 0.750 0.020
F: 0.443 0.250 0.520
F: 0.557 0.750 0.480
F: 0.943 0.250 0.980

- mass density (g/cm³) = 4.7
- energy relative to the elements (eV per atom) = -3.1956

---

# 5
VASP calculation (meta-GGA r2SCAN) on an optimized crystal structure of LaP5.

abc: 5.561 9.689 10.060
angles: 90.00 103.95 90.00
Element x y z (fractional)
La: 0.123 0.250 0.477
La: 0.146 0.250 0.995
La: 0.854 0.750 0.005
La: 0.877 0.750 0.523
P: 0.088 0.533 0.843
P: 0.088 0.967 0.843
P: 0.124 0.540 0.359
P: 0.124 0.960 0.359
P: 0.412 0.750 0.146
P: 0.434 0.750 0.656
P: 0.445 0.585 0.809
P: 0.445 0.915 0.809
P: 0.468 0.592 0.309
P: 0.468 0.908 0.309
P: 0.532 0.092 0.691
P: 0.532 0.408 0.691
P: 0.555 0.085 0.191
P: 0.555 0.415 0.191
P: 0.566 0.250 0.344
P: 0.588 0.250 0.854
P: 0.876 0.040 0.641
P: 0.876 0.460 0.641
P: 0.912 0.033 0.157
P: 0.912 0.467 0.157

- mass density (g/cm³) = 3.7
- energy relative to the elements (eV per atom) = -0.6786

---

# 6
VASP calculation (meta-GGA r2SCAN) on an optimized crystal structure of TaGaNi6.

abc: 3.596 3.596 7.131
angles: 90.00 90.00 90.00
Element x y z (fractional)
Ta: 0.000 0.000 0.000
Ga: 0.000 0.000 0.500
Ni: 0.000 0.500 0.253
Ni: 0.000 0.500 0.747
Ni: 0.500 0.000 0.253
Ni: 0.500 0.000 0.747
Ni: 0.500 0.500 0.000
Ni: 0.500 0.500 0.500

- mass density (g/cm³) = 10.9
- energy relative to the elements (eV per atom) = -0.3352

---

# 7
VASP calculation (meta-GGA r2SCAN) on an optimized crystal structure of Tb2AlCo2.

abc: 5.369 5.369 5.369
angles: 136.03 119.11 78.10
Element x y z (fractional)
Tb: 0.204 0.204 0.000
Tb: 0.796 0.796 0.000
Al: 0.500 0.000 0.500
Co: 0.222 0.500 0.722
Co: 0.778 0.500 0.278

- mass density (g/cm³) = 8.4
- energy relative to the elements (eV per atom) = -0.2697

---

# 8
VASP calculation (meta-GGA r2SCAN) on an optimized crystal structure of V4O5F7.

abc: 5.067 5.266 8.915
angles: 73.21 73.70 61.30
Element x y z (fractional)
V: 0.000 0.000 0.000
V: 0.197 0.259 0.253
V: 0.423 0.531 0.496
V: 0.733 0.779 0.756
O: 0.055 0.685 0.588
O: 0.058 0.112 0.171
O: 0.362 0.845 0.919
O: 0.386 0.437 0.345
O: 0.855 0.923 0.850
F: 0.443 0.890 0.384
F: 0.493 0.153 0.631
F: 0.550 0.206 0.089
F: 0.551 0.606 0.670
F: 0.883 0.347 0.437
F: 0.931 0.386 0.875
F: 0.976 0.658 0.147

- mass density (g/cm³) = 3.5
- polymorph energy (0 for the lowest one) (kcal/mol of atoms) = 0.395
- energy relative to the elements (eV per atom) = -2.8630

---

Question: The lowest energy relative to the elements belongs to which entry?
Answer: SmSnF7

---

Copy entry 5 word for word.
VASP calculation (meta-GGA r2SCAN) on an optimized crystal structure of LaP5.

abc: 5.561 9.689 10.060
angles: 90.00 103.95 90.00
Element x y z (fractional)
La: 0.123 0.250 0.477
La: 0.146 0.250 0.995
La: 0.854 0.750 0.005
La: 0.877 0.750 0.523
P: 0.088 0.533 0.843
P: 0.088 0.967 0.843
P: 0.124 0.540 0.359
P: 0.124 0.960 0.359
P: 0.412 0.750 0.146
P: 0.434 0.750 0.656
P: 0.445 0.585 0.809
P: 0.445 0.915 0.809
P: 0.468 0.592 0.309
P: 0.468 0.908 0.309
P: 0.532 0.092 0.691
P: 0.532 0.408 0.691
P: 0.555 0.085 0.191
P: 0.555 0.415 0.191
P: 0.566 0.250 0.344
P: 0.588 0.250 0.854
P: 0.876 0.040 0.641
P: 0.876 0.460 0.641
P: 0.912 0.033 0.157
P: 0.912 0.467 0.157

- mass density (g/cm³) = 3.7
- energy relative to the elements (eV per atom) = -0.6786